Computed, not measured: a geometry-optimized KCeZr4O12 structure at the PBE-GGA level of DFT. Values from VASP.

```
&SYSTEM
  ibrav = 0, nat = 18, ntyp = 4
/
ATOMIC_SPECIES
Zr 91.22 Zr.upf
O 16.00 O.upf
Ce 140.12 Ce.upf
K 39.10 K.upf
CELL_PARAMETERS angstrom
0.000 -4.067 -4.144
0.000 -4.067 4.144
-8.285 0.000 0.000
ATOMIC_POSITIONS crystal
Zr 0.993 0.498 0.745
O 0.704 0.709 0.208
Zr 0.502 0.007 0.745
Zr 0.993 0.498 0.255
Zr 0.502 0.007 0.255
O 0.461 0.987 0.500
O 0.291 0.296 0.208
O 0.796 0.204 0.725
Ce 0.489 0.511 0.000
O 0.013 0.539 0.500
O 0.550 0.106 0.000
O 0.894 0.450 0.000
O 0.704 0.709 0.792
O 0.796 0.204 0.275
O 0.253 0.747 0.179
O 0.253 0.747 0.821
O 0.291 0.296 0.792
K 0.005 0.995 0.500
```

Properties
- VASP energy: -8.27 eV per atom
- Energy with MP2020 corrections: -8.73 eV/atom
- Formation energy from the elements: -5446 kJ/mol of formula units
- SG: Amm2, No. 38

=====

Computed, not measured: a geometry-optimized K9CeP4S16 structure at the PBE-GGA level of DFT. Values from VASP.

```
&SYSTEM
  ibrav = 0, nat = 60, ntyp = 4
/
ATOMIC_SPECIES
S 32.06 S.upf
K 39.10 K.upf
P 30.97 P.upf
Ce 140.12 Ce.upf
CELL_PARAMETERS angstrom
-5.248 7.107 4.492
-4.826 7.685 -6.864
-16.331 -4.541 -0.961
ATOMIC_POSITIONS crystal
S 0.257 0.770 0.756
K 0.404 0.061 0.104
S 0.759 0.531 0.641
P 0.376 0.840 0.418
P 0.114 0.454 0.290
S 0.748 0.783 0.066
S 0.728 0.017 0.508
S 0.375 0.420 0.793
Ce 0.746 0.750 0.250
K 0.930 0.687 0.478
S 0.252 0.726 0.446
S 0.252 0.993 0.860
Ce 0.254 0.250 0.750
P 0.366 0.340 0.918
K 0.003 0.101 0.370
S 0.424 0.774 0.054
S 0.412 0.920 0.293
K 0.509 0.875 0.630
S 0.105 0.507 0.640
K 0.247 0.750 0.250
S 0.241 0.469 0.359
S 0.588 0.080 0.707
S 0.748 0.007 0.140
K 0.986 0.375 0.130
S 0.784 0.730 0.744
K 0.491 0.125 0.370
S 0.252 0.217 0.934
S 0.743 0.230 0.244
K 0.070 0.313 0.522
S 0.921 0.399 0.814
S 0.403 0.283 0.566
P 0.142 0.954 0.790
S 0.252 0.483 0.992
K 0.569 0.439 0.396
K 0.526 0.601 0.870
S 0.576 0.226 0.946
S 0.069 0.031 0.141
S 0.079 0.601 0.186
P 0.886 0.546 0.710
S 0.625 0.580 0.207
S 0.134 0.101 0.686
P 0.634 0.660 0.082
S 0.748 0.517 0.008
K 0.431 0.561 0.604
K 0.905 0.187 0.978
S 0.895 0.493 0.360
S 0.931 0.969 0.859
S 0.272 0.983 0.492
S 0.748 0.274 0.554
K 0.596 0.939 0.896
S 0.597 0.717 0.434
K 0.014 0.625 0.870
K 0.997 0.899 0.630
S 0.866 0.899 0.314
K 0.095 0.813 0.022
P 0.624 0.160 0.582
P 0.858 0.046 0.210
S 0.216 0.270 0.256
K 0.474 0.399 0.130
K 0.753 0.250 0.750
```

Properties
- VASP energy: -4.48 eV per atom
- Energy with MP2020 corrections: -4.75 eV/atom
- Formation energy from the elements: -3736 kJ/mol of formula units
- SG: C2/c, No. 15

=====

Computed, not measured: a geometry-optimized KCeS2 structure at the PBE-GGA level of DFT. Values from VASP.

```
&SYSTEM
  ibrav = 0, nat = 4, ntyp = 3
/
ATOMIC_SPECIES
S 32.06 S.upf
K 39.10 K.upf
Ce 140.12 Ce.upf
CELL_PARAMETERS angstrom
0.596 2.110 -3.605
0.596 -2.110 -3.605
-6.873 0.000 -3.605
ATOMIC_POSITIONS crystal
S 0.735 0.735 0.794
K 0.500 0.500 0.500
Ce 0.000 0.000 0.000
S 0.265 0.265 0.206
```

Properties
- VASP energy: -5.63 eV per atom
- Energy with MP2020 corrections: -5.88 eV/atom
- Formation energy from the elements: -793 kJ/mol of formula units
- SG: R-3m, No. 166

=====

Computed, not measured: a geometry-optimized KCeSe4 structure at the PBE-GGA level of DFT. Values from VASP.

```
&SYSTEM
  ibrav = 0, nat = 12, ntyp = 3
/
ATOMIC_SPECIES
Se 78.96 Se.upf
K 39.10 K.upf
Ce 140.12 Ce.upf
CELL_PARAMETERS angstrom
-6.194 -1.035 -1.112
1.364 -1.731 -5.985
0.888 -8.026 2.524
ATOMIC_POSITIONS crystal
Se 0.863 0.363 0.210
Se 0.363 0.137 0.210
Se 0.137 0.363 0.790
K 0.000 0.000 0.500
Se 0.863 0.637 0.790
Se 0.363 0.863 0.790
Se 0.637 0.137 0.790
Se 0.137 0.637 0.210
K 0.500 0.500 0.500
Se 0.637 0.863 0.210
Ce 0.000 0.000 0.000
Ce 0.500 0.500 0.000
```

Properties
- VASP energy: -4.65 eV per atom
- Energy with MP2020 corrections: -4.96 eV/atom
- Formation energy from the elements: -844 kJ/mol of formula units
- SG: P4/nbm, No. 125

=====

Computed, not measured: a geometry-optimized LaCe structure at the PBE-GGA level of DFT. Values from VASP.

```
&SYSTEM
  ibrav = 0, nat = 2, ntyp = 2
/
ATOMIC_SPECIES
La 138.91 La.upf
Ce 140.12 Ce.upf
CELL_PARAMETERS angstrom
-2.699 5.595 0.545
-2.983 4.663 -2.872
-5.246 3.337 -0.475
ATOMIC_POSITIONS crystal
La 0.500 0.500 0.500
Ce 0.000 0.000 0.000
```

Properties
- VASP energy: -5.35 eV per atom
- Formation energy from the elements: 16 kJ/mol of formula units
- SG: R-3m, No. 166

=====

Computed, not measured: a geometry-optimized LaCeMg2 structure at the PBE-GGA level of DFT. Values from VASP.

```
&SYSTEM
  ibrav = 0, nat = 4, ntyp = 3
/
ATOMIC_SPECIES
La 138.91 La.upf
Mg 24.30 Mg.upf
Ce 140.12 Ce.upf
CELL_PARAMETERS angstrom
4.899 -1.530 1.959
1.672 1.787 4.919
0.298 -3.488 4.234
ATOMIC_POSITIONS crystal
La 0.000 0.000 0.000
Mg 0.750 0.750 0.750
Ce 0.500 0.500 0.500
Mg 0.250 0.250 0.250
```

Properties
- VASP energy: -3.52 eV per atom
- Formation energy from the elements: -3 kJ/mol of formula units
- SG: Fm-3m, No. 225

=====

Computed, not measured: a geometry-optimized LaCeMn4Si4 structure at the PBE-GGA level of DFT. Values from VASP.

```
&SYSTEM
  ibrav = 0, nat = 10, ntyp = 4
/
ATOMIC_SPECIES
Mn 54.94 Mn.upf
Si 28.09 Si.upf
Ce 140.12 Ce.upf
La 138.91 La.upf
CELL_PARAMETERS angstrom
3.976 0.000 0.000
0.000 3.976 0.000
0.000 0.000 10.521
ATOMIC_POSITIONS crystal
Mn 0.000 0.500 0.245
Si 0.000 0.000 0.371
Ce 0.000 0.000 0.000
La 0.500 0.500 0.500
Si 0.000 0.000 0.629
Si 0.500 0.500 0.121
Mn 0.500 0.000 0.245
Mn 0.500 0.000 0.755
Si 0.500 0.500 0.879
Mn 0.000 0.500 0.755
```

Properties
- VASP energy: -7.49 eV per atom
- Energy with MP2020 corrections: -7.46 eV/atom
- Formation energy from the elements: -519 kJ/mol of formula units
- SG: P4/mmm, No. 123

=====

Computed, not measured: a geometry-optimized LaCeN2 structure at the PBE-GGA level of DFT. Values from VASP.

```
&SYSTEM
  ibrav = 0, nat = 4, ntyp = 3
/
ATOMIC_SPECIES
N 14.01 N.upf
Ce 140.12 Ce.upf
La 138.91 La.upf
CELL_PARAMETERS angstrom
-3.914 2.234 -4.465
-2.361 -0.762 -5.839
-5.164 -1.058 -3.531
ATOMIC_POSITIONS crystal
N 0.258 0.258 0.258
Ce 0.000 0.000 0.000
N 0.742 0.742 0.742
La 0.500 0.500 0.500
```

Properties
- VASP energy: -8.30 eV per atom
- Energy with MP2020 corrections: -8.49 eV/atom
- Formation energy from the elements: -617 kJ/mol of formula units
- SG: R-3m, No. 166

=====

Computed, not measured: a geometry-optimized LaCeNi10 structure at the PBE-GGA level of DFT. Values from VASP.

```
&SYSTEM
  ibrav = 0, nat = 12, ntyp = 3
/
ATOMIC_SPECIES
Ni 58.69 Ni.upf
Ce 140.12 Ce.upf
La 138.91 La.upf
CELL_PARAMETERS angstrom
3.970 0.000 0.000
0.000 4.916 0.000
0.000 0.000 8.513
ATOMIC_POSITIONS crystal
Ni 0.000 0.500 0.674
Ni 0.500 0.500 0.500
Ni 0.500 0.253 0.755
Ni 0.000 0.000 0.161
Ni 0.000 0.000 0.839
Ce 0.000 0.500 0.000
Ni 0.500 0.747 0.245
Ni 0.500 0.000 0.000
Ni 0.500 0.253 0.245
Ni 0.500 0.747 0.755
La 0.000 0.000 0.500
Ni 0.000 0.500 0.326
```

Properties
- VASP energy: -6.04 eV per atom
- Formation energy from the elements: -364 kJ/mol of formula units
- SG: Pmmm, No. 47

=====

Computed, not measured: a geometry-optimized LaCeNiPt structure at the PBE-GGA level of DFT. Values from VASP.

```
&SYSTEM
  ibrav = 0, nat = 4, ntyp = 4
/
ATOMIC_SPECIES
La 138.91 La.upf
Ni 58.69 Ni.upf
Ce 140.12 Ce.upf
Pt 195.08 Pt.upf
CELL_PARAMETERS angstrom
1.915 -5.587 0.000
1.915 5.587 0.000
0.000 0.000 4.402
ATOMIC_POSITIONS crystal
La 0.861 0.139 0.500
Ni 0.422 0.578 0.000
Ce 0.128 0.872 0.000
Pt 0.588 0.412 0.500
```

Properties
- VASP energy: -6.39 eV per atom
- Formation energy from the elements: -275 kJ/mol of formula units
- SG: Amm2, No. 38

=====

Computed, not measured: a geometry-optimized La3Ce4O12 structure at the PBE-GGA level of DFT. Values from VASP.

```
&SYSTEM
  ibrav = 0, nat = 19, ntyp = 3
/
ATOMIC_SPECIES
Ce 140.12 Ce.upf
O 16.00 O.upf
La 138.91 La.upf
CELL_PARAMETERS angstrom
1.927 14.300 0.000
-1.927 14.300 0.000
0.000 1.065 5.530
ATOMIC_POSITIONS crystal
Ce 0.152 0.152 0.836
O 0.784 0.784 0.472
La 0.427 0.427 0.526
O 0.214 0.214 0.031
O 0.350 0.350 0.397
O 0.650 0.650 0.603
Ce 0.848 0.848 0.164
O 0.925 0.925 0.292
Ce 0.714 0.714 0.286
O 0.364 0.364 0.893
O 0.786 0.786 0.969
O 0.216 0.216 0.528
O 0.513 0.513 0.238
La 0.573 0.573 0.474
Ce 0.286 0.286 0.714
O 0.636 0.636 0.107
O 0.075 0.075 0.708
La 0.000 0.000 0.000
O 0.487 0.487 0.762
```

Properties
- VASP energy: -8.58 eV per atom
- Energy with MP2020 corrections: -9.02 eV/atom
- Formation energy from the elements: -7085 kJ/mol of formula units
- SG: C2/m, No. 12

=====

Computed, not measured: a geometry-optimized La4CePd15 structure at the PBE-GGA level of DFT. Values from VASP.

```
&SYSTEM
  ibrav = 0, nat = 20, ntyp = 3
/
ATOMIC_SPECIES
Pd 106.42 Pd.upf
La 138.91 La.upf
Ce 140.12 Ce.upf
CELL_PARAMETERS angstrom
-1.748 -0.478 3.810
-0.486 -4.125 -0.741
19.040 -3.730 8.266
ATOMIC_POSITIONS crystal
Pd 0.500 0.500 0.800
Pd 0.500 0.000 0.700
Pd 0.000 0.500 0.903
Pd 0.000 0.500 0.097
Pd 0.000 0.500 0.300
Pd 0.500 0.500 0.000
La 0.000 0.000 0.600
Pd 0.500 0.500 0.200
Pd 0.500 0.000 0.097
Pd 0.000 0.500 0.700
Pd 0.500 0.500 0.600
La 0.000 0.000 0.799
Pd 0.000 0.500 0.500
Ce 0.000 0.000 0.000
La 0.000 0.000 0.400
Pd 0.500 0.000 0.903
La 0.000 0.000 0.201
Pd 0.500 0.000 0.300
Pd 0.500 0.000 0.500
Pd 0.500 0.500 0.400
```

Properties
- VASP energy: -6.00 eV per atom
- Formation energy from the elements: -1605 kJ/mol of formula units
- SG: P4/mmm, No. 123

=====

Computed, not measured: a geometry-optimized LaCeRu4 structure at the PBE-GGA level of DFT. Values from VASP.

```
&SYSTEM
  ibrav = 0, nat = 6, ntyp = 3
/
ATOMIC_SPECIES
Ru 101.07 Ru.upf
La 138.91 La.upf
Ce 140.12 Ce.upf
CELL_PARAMETERS angstrom
5.089 1.297 1.287
1.599 -0.126 5.164
3.426 -3.833 1.677
ATOMIC_POSITIONS crystal
Ru 0.125 0.625 0.625
La 0.000 0.000 0.000
Ru 0.625 0.625 0.125
Ce 0.250 0.250 0.250
Ru 0.625 0.125 0.625
Ru 0.625 0.625 0.625
```

Properties
- VASP energy: -8.21 eV per atom
- Formation energy from the elements: -122 kJ/mol of formula units
- SG: F-43m, No. 216

=====

Computed, not measured: a geometry-optimized LaCe4Si10Ru10 structure at the PBE-GGA level of DFT. Values from VASP.

```
&SYSTEM
  ibrav = 0, nat = 25, ntyp = 4
/
ATOMIC_SPECIES
Ru 101.07 Ru.upf
Ce 140.12 Ce.upf
Si 28.09 Si.upf
La 138.91 La.upf
CELL_PARAMETERS angstrom
4.214 0.000 0.000
0.000 4.214 0.000
2.107 2.107 24.341
ATOMIC_POSITIONS crystal
Ru 0.850 0.350 0.300
Ru 0.250 0.750 0.500
Ce 0.600 0.600 0.800
Ru 0.750 0.250 0.500
Ru 0.650 0.150 0.700
Ce 0.400 0.400 0.200
Si 0.274 0.274 0.453
Ce 0.800 0.800 0.400
Si 0.874 0.874 0.253
Ce 0.200 0.200 0.600
Si 0.527 0.527 0.946
Ru 0.150 0.650 0.700
Si 0.126 0.126 0.747
Si 0.074 0.074 0.852
Si 0.473 0.473 0.054
Si 0.674 0.674 0.653
La 0.000 0.000 0.000
Ru 0.551 0.051 0.898
Ru 0.449 0.949 0.102
Ru 0.949 0.449 0.102
Si 0.326 0.326 0.347
Ru 0.051 0.551 0.898
Si 0.926 0.926 0.148
Ru 0.350 0.850 0.300
Si 0.726 0.726 0.547
```

Properties
- VASP energy: -7.91 eV per atom
- Formation energy from the elements: -2131 kJ/mol of formula units
- SG: I4/mmm, No. 139

=====

Computed, not measured: a geometry-optimized LaCeSn2Ru2 structure at the PBE-GGA level of DFT. Values from VASP.

```
&SYSTEM
  ibrav = 0, nat = 6, ntyp = 4
/
ATOMIC_SPECIES
Ru 101.07 Ru.upf
La 138.91 La.upf
Sn 118.71 Sn.upf
Ce 140.12 Ce.upf
CELL_PARAMETERS angstrom
4.829 -0.281 0.303
-0.103 2.817 4.256
1.965 -5.627 2.231
ATOMIC_POSITIONS crystal
Ru 0.186 0.158 0.629
La 0.872 0.320 0.257
Ru 0.807 0.852 0.386
Sn 0.586 0.191 0.827
Sn 0.413 0.806 0.174
Ce 0.137 0.673 0.727
```

Properties
- VASP energy: -6.84 eV per atom
- Formation energy from the elements: -346 kJ/mol of formula units
- SG: Cm, No. 8

=====

Computed, not measured: a geometry-optimized LaCeSn6 structure at the PBE-GGA level of DFT. Values from VASP.

```
&SYSTEM
  ibrav = 0, nat = 8, ntyp = 3
/
ATOMIC_SPECIES
Sn 118.71 Sn.upf
Ce 140.12 Ce.upf
La 138.91 La.upf
CELL_PARAMETERS angstrom
-0.215 -4.166 -2.317
2.100 -2.165 3.697
-8.569 -1.708 3.867
ATOMIC_POSITIONS crystal
Sn 0.500 0.000 0.246
Sn 0.000 0.500 0.246
Sn 0.500 0.500 0.000
Sn 0.000 0.500 0.754
Sn 0.500 0.000 0.754
Ce 0.000 0.000 0.000
Sn 0.500 0.500 0.500
La 0.000 0.000 0.500
```

Properties
- VASP energy: -4.92 eV per atom
- Formation energy from the elements: -425 kJ/mol of formula units
- SG: P4/mmm, No. 123

=====

Computed, not measured: a geometry-optimized La2CeTe4 structure at the PBE-GGA level of DFT. Values from VASP.

```
&SYSTEM
  ibrav = 0, nat = 14, ntyp = 3
/
ATOMIC_SPECIES
Te 127.60 Te.upf
La 138.91 La.upf
Ce 140.12 Ce.upf
CELL_PARAMETERS angstrom
-4.817 4.817 4.808
4.817 -4.817 4.808
4.817 4.817 -4.808
ATOMIC_POSITIONS crystal
Te 0.873 0.972 0.250
La 0.125 0.750 0.125
La 0.625 0.000 0.875
La 0.000 0.875 0.625
Te 0.721 0.623 0.750
La 0.250 0.375 0.375
Ce 0.500 0.500 0.000
Te 0.222 0.623 0.750
Te 0.028 0.279 0.901
Te 0.377 0.127 0.599
Te 0.377 0.127 0.099
Ce 0.750 0.250 0.500
Te 0.529 0.778 0.401
Te 0.873 0.471 0.250
```

Properties
- VASP energy: -5.59 eV per atom
- Energy with MP2020 corrections: -5.83 eV/atom
- Formation energy from the elements: -1202 kJ/mol of formula units
- SG: I-42d, No. 122

=====

Computed, not measured: a geometry-optimized LaCeZn2 structure at the PBE-GGA level of DFT. Values from VASP.

```
&SYSTEM
  ibrav = 0, nat = 4, ntyp = 3
/
ATOMIC_SPECIES
Ce 140.12 Ce.upf
La 138.91 La.upf
Zn 65.41 Zn.upf
CELL_PARAMETERS angstrom
0.746 -4.903 -1.701
-2.475 -1.687 -4.303
2.702 -0.863 -4.409
ATOMIC_POSITIONS crystal
Ce 0.500 0.500 0.500
La 0.000 0.000 0.000
Zn 0.750 0.750 0.750
Zn 0.250 0.250 0.250
```

Properties
- VASP energy: -3.59 eV per atom
- Formation energy from the elements: -93 kJ/mol of formula units
- SG: Fm-3m, No. 225

=====

Computed, not measured: a geometry-optimized Li3Ce structure at the PBE-GGA level of DFT. Values from VASP.

```
&SYSTEM
  ibrav = 0, nat = 4, ntyp = 2
/
ATOMIC_SPECIES
Li 6.94 Li.upf
Ce 140.12 Ce.upf
CELL_PARAMETERS angstrom
4.266 -1.641 2.610
0.300 -4.976 1.688
3.352 -3.356 -2.282
ATOMIC_POSITIONS crystal
Li 0.500 0.500 0.500
Li 0.250 0.250 0.250
Ce 0.000 0.000 0.000
Li 0.750 0.750 0.750
```

Properties
- VASP energy: -2.58 eV per atom
- Formation energy from the elements: 129 kJ/mol of formula units
- SG: Fm-3m, No. 225

=====

Computed, not measured: a geometry-optimized LiCeMg14 structure at the PBE-GGA level of DFT. Values from VASP.

```
&SYSTEM
  ibrav = 0, nat = 16, ntyp = 3
/
ATOMIC_SPECIES
Mg 24.30 Mg.upf
Ce 140.12 Ce.upf
Li 6.94 Li.upf
CELL_PARAMETERS angstrom
-3.027 4.306 3.822
-3.392 -3.970 -3.879
-0.437 -7.061 7.609
ATOMIC_POSITIONS crystal
Mg 0.834 0.667 0.000
Ce 0.333 0.667 0.500
Mg 0.667 0.333 0.747
Mg 0.166 0.834 0.247
Mg 0.333 0.667 0.000
Mg 0.670 0.835 0.753
Mg 0.327 0.164 0.500
Mg 0.836 0.673 0.500
Mg 0.165 0.330 0.247
Li 0.835 0.165 0.500
Mg 0.834 0.166 0.000
Mg 0.165 0.330 0.753
Mg 0.333 0.166 0.000
Mg 0.670 0.835 0.247
Mg 0.667 0.333 0.253
Mg 0.166 0.834 0.753
```

Properties
- VASP energy: -1.84 eV per atom
- Formation energy from the elements: 79 kJ/mol of formula units
- Polymorph energy (0 for the lowest one): 0.013 eV per atom
- SG: Amm2, No. 38